1.
The following is a DFT calculation (PBE) of MgCd2 after structural relaxation.

```
6
Lattice="3.1525 0.0000 0.0000 -1.5763 2.7302 0.0000 0.0000 0.0000 15.6731" Properties=species:S:1:pos:R:3 pbc="T T T"
Mg 0.0000 1.8201 3.9183
Mg 1.5763 0.9101 11.7548
Cd 0.0000 1.8201 9.1654
Cd 0.0000 1.8201 14.3442
Cd 1.5763 0.9101 1.3288
Cd 1.5763 0.9101 6.5077
```

## Properties
Density in Mg/m³: 6.1
Magnetization in μB per formula unit: 0.00
DFT formation energy in meV per atom: -5.6

***

2.
The following is a DFT calculation (PBE) of MgCd2 after structural relaxation.

```
6
Lattice="1.6095 -8.0404 0.0000 1.6095 8.0404 0.0000 0.0000 0.0000 5.0942" Properties=species:S:1:pos:R:3 pbc="T T T"
Mg 1.6095 6.2574 3.8206
Mg 1.6095 -6.2574 1.2735
Cd 1.6095 4.4670 1.2735
Cd 1.6095 0.8868 3.8206
Cd 1.6095 -0.8868 1.2735
Cd 1.6095 -4.4670 3.8206
```

## Properties
Density in Mg/m³: 6.3
DFT formation energy in meV per atom: -90.4

***

Ordered volume results: 22.5, 22.0; unit Å³/atom.